Dy3Ni13B2: relaxed, PBE.

## Properties
**Total moment**: 2.09 μB/cell
**Formation energy from the elements**: -0.433 eV/atom

a = 4.9283 Å, b = 4.9283 Å, c = 10.9064 Å
α = 90.00°, β = 90.00°, γ = 120.00°
Fractional positions:
Dy1 0.0000 0.0000 0.0000
Dy2 0.0000 0.0000 0.3277
Dy3 0.0000 0.0000 0.6723
Ni1 0.5000 0.0000 0.5000
Ni2 0.5000 0.5000 0.5000
Ni3 0.0000 0.5000 0.5000
Ni4 0.3333 0.6667 0.3189
Ni5 0.6667 0.3333 0.3189
Ni6 0.6667 0.3333 0.6811
Ni7 0.3333 0.6667 0.6811
Ni8 0.5000 0.0000 0.1334
Ni9 0.5000 0.5000 0.1334
Ni10 0.0000 0.5000 0.1334
Ni11 0.5000 0.0000 0.8666
Ni12 0.5000 0.5000 0.8666
Ni13 0.0000 0.5000 0.8666
B1 0.3333 0.6667 0.0000
B2 0.6667 0.3333 0.0000


Dy2Ni10B5: relaxed, PBE.

## Properties
**Total moment**: 0.05 μB/cell
**Formation energy from the elements**: -0.466 eV/atom

a = 9.0109 Å, b = 9.4725 Å, c = 17.5545 Å
α = 90.00°, β = 90.00°, γ = 90.00°
Fractional positions:
Dy1 0.1247 0.8583 0.2781
Dy2 0.3753 0.1417 0.7781
Dy3 0.6247 0.6417 0.7219
Dy4 0.8753 0.3583 0.2219
Dy5 0.8753 0.1417 0.7219
Dy6 0.6247 0.8583 0.2219
Dy7 0.3753 0.3583 0.2781
Dy8 0.1247 0.6417 0.7781
Dy9 0.2190 0.8871 0.4800
Dy10 0.2810 0.1129 0.9800
Dy11 0.7190 0.6129 0.5200
Dy12 0.7810 0.3871 0.0200
Dy13 0.7810 0.1129 0.5200
Dy14 0.7190 0.8871 0.0200
Dy15 0.2810 0.3871 0.4800
Dy16 0.2190 0.6129 0.9800
Ni1 0.1215 0.9615 0.7270
Ni2 0.3785 0.0385 0.2270
Ni3 0.6215 0.5385 0.2730
Ni4 0.8785 0.4615 0.7730
Ni5 0.8785 0.0385 0.2730
Ni6 0.6215 0.9615 0.7730
Ni7 0.3785 0.4615 0.7270
Ni8 0.1215 0.5385 0.2270
Ni9 0.1264 0.1764 0.2371
Ni10 0.3736 0.8236 0.7371
Ni11 0.6264 0.3236 0.7629
Ni12 0.8736 0.6764 0.2629
Ni13 0.8736 0.8236 0.7629
Ni14 0.6264 0.1764 0.2629
Ni15 0.3736 0.6764 0.2371
Ni16 0.1264 0.3236 0.7371
Ni17 0.0789 0.8862 0.0154
Ni18 0.4211 0.1138 0.5154
Ni19 0.5789 0.6138 0.9846
Ni20 0.9211 0.3862 0.4846
Ni21 0.9211 0.1138 0.9846
Ni22 0.5789 0.8862 0.4846
Ni23 0.4211 0.3862 0.0154
Ni24 0.0789 0.6138 0.5154
Ni25 0.1617 0.7817 0.6277
Ni26 0.3383 0.2183 0.1277
Ni27 0.6617 0.7183 0.3723
Ni28 0.8383 0.2817 0.8723
Ni29 0.8383 0.2183 0.3723
Ni30 0.6617 0.7817 0.8723
Ni31 0.3383 0.2817 0.6277
Ni32 0.1617 0.7183 0.1277
Ni33 0.1770 0.9943 0.1313
Ni34 0.3230 0.0057 0.6313
Ni35 0.6770 0.5057 0.8687
Ni36 0.8230 0.4943 0.3687
Ni37 0.8230 0.0057 0.8687
Ni38 0.6770 0.9943 0.3687
Ni39 0.3230 0.4943 0.1313
Ni40 0.1770 0.5057 0.6313
Ni41 0.2306 0.8932 0.8652
Ni42 0.2694 0.1068 0.3652
Ni43 0.7306 0.6068 0.1348
Ni44 0.7694 0.3932 0.6348
Ni45 0.7694 0.1068 0.1348
Ni46 0.7306 0.8932 0.6348
Ni47 0.2694 0.3932 0.8652
Ni48 0.2306 0.6068 0.3652
Ni49 0.0899 0.1472 0.8499
Ni50 0.4101 0.8528 0.3499
Ni51 0.5899 0.3528 0.1501
Ni52 0.9101 0.6472 0.6501
Ni53 0.9101 0.8528 0.1501
Ni54 0.5899 0.1472 0.6501
Ni55 0.4101 0.6472 0.8499
Ni56 0.0899 0.3528 0.3499
Ni57 0.0427 0.0214 0.5963
Ni58 0.4573 0.9786 0.0963
Ni59 0.5427 0.4786 0.4037
Ni60 0.9573 0.5214 0.9037
Ni61 0.9573 0.9786 0.4037
Ni62 0.5427 0.0214 0.9037
Ni63 0.4573 0.5214 0.5963
Ni64 0.0427 0.4786 0.0963
Ni65 0.0440 0.2180 0.0987
Ni66 0.4560 0.7820 0.5987
Ni67 0.5440 0.2820 0.9013
Ni68 0.9560 0.7180 0.4013
Ni69 0.9560 0.7820 0.9013
Ni70 0.5440 0.2180 0.4013
Ni71 0.4560 0.7180 0.0987
Ni72 0.0440 0.2820 0.5987
Ni73 0.0816 0.1667 0.4688
Ni74 0.4184 0.8333 0.9688
Ni75 0.5816 0.3333 0.5312
Ni76 0.9184 0.6667 0.0312
Ni77 0.9184 0.8333 0.5312
Ni78 0.5816 0.1667 0.0312
Ni79 0.4184 0.6667 0.4688
Ni80 0.0816 0.3333 0.9688
B1 0.9762 0.0644 0.1767
B2 0.5238 0.9356 0.6767
B3 0.4762 0.4356 0.8233
B4 0.0238 0.5644 0.3233
B5 0.0238 0.9356 0.8233
B6 0.4762 0.0644 0.3233
B7 0.5238 0.5644 0.1767
B8 0.9762 0.4356 0.6767
B9 0.1669 0.1500 0.6665
B10 0.3331 0.8500 0.1665
B11 0.6669 0.3500 0.3335
B12 0.8331 0.6500 0.8335
B13 0.8331 0.8500 0.3335
B14 0.6669 0.1500 0.8335
B15 0.3331 0.6500 0.6665
B16 0.1669 0.3500 0.1665
B17 0.0464 0.1415 0.3445
B18 0.4536 0.8585 0.8445
B19 0.5464 0.3585 0.6555
B20 0.9536 0.6415 0.1555
B21 0.9536 0.8585 0.6555
B22 0.5464 0.1415 0.1555
B23 0.4536 0.6415 0.3445
B24 0.0464 0.3585 0.8445
B25 0.2132 0.1486 0.5608
B26 0.2868 0.8514 0.0608
B27 0.7132 0.3514 0.4392
B28 0.7868 0.6486 0.9392
B29 0.7868 0.8514 0.4392
B30 0.7132 0.1486 0.9392
B31 0.2868 0.6486 0.5608
B32 0.2132 0.3514 0.0608
B33 0.0390 0.9811 0.9183
B34 0.4610 0.0189 0.4183
B35 0.5390 0.5189 0.0817
B36 0.9610 0.4811 0.5817
B37 0.9610 0.0189 0.0817
B38 0.5390 0.9811 0.5817
B39 0.4610 0.4811 0.9183
B40 0.0390 0.5189 0.4183


Dy4NiB13: relaxed, PBE.

## Properties
**Total moment**: 0.00 μB/cell
**Formation energy from the elements**: -0.472 eV/atom

a = 7.3173 Å, b = 7.3173 Å, c = 6.9067 Å
α = 90.00°, β = 90.00°, γ = 90.00°
Fractional positions:
Dy1 0.6843 0.1801 0.5000
Dy2 0.3157 0.8199 0.5000
Dy3 0.1843 0.3199 0.0000
Dy4 0.8157 0.6801 0.0000
Dy5 0.8199 0.6843 0.5000
Dy6 0.1801 0.3157 0.5000
Dy7 0.6801 0.1843 0.0000
Dy8 0.3199 0.8157 0.0000
Ni1 0.5000 0.5000 0.5000
Ni2 0.0000 0.0000 0.0000
B1 0.5000 0.5000 0.0000
B2 0.0000 0.0000 0.5000
B3 0.9073 0.4073 0.2500
B4 0.0927 0.5927 0.2500
B5 0.4073 0.0927 0.7500
B6 0.5927 0.9073 0.7500
B7 0.5927 0.9073 0.2500
B8 0.4073 0.0927 0.2500
B9 0.9073 0.4073 0.7500
B10 0.0927 0.5927 0.7500
B11 0.5400 0.6700 0.2434
B12 0.4600 0.3300 0.2434
B13 0.0400 0.8300 0.7434
B14 0.9600 0.1700 0.7434
B15 0.3300 0.5400 0.2434
B16 0.6700 0.4600 0.2434
B17 0.1700 0.0400 0.7434
B18 0.8300 0.9600 0.7434
B19 0.4600 0.3300 0.7566
B20 0.5400 0.6700 0.7566
B21 0.9600 0.1700 0.2566
B22 0.0400 0.8300 0.2566
B23 0.6700 0.4600 0.7566
B24 0.3300 0.5400 0.7566
B25 0.8300 0.9600 0.2566
B26 0.1700 0.0400 0.2566


DyNi2B2: relaxed, PBE.

## Properties
**Formation energy from the elements**: -0.560 eV/atom

a = 4.9482 Å, b = 4.9482 Å, c = 6.8729 Å
α = 59.29°, β = 59.29°, γ = 64.13°
Fractional positions:
Dy1 0.1192 0.8808 0.2500
Dy2 0.8808 0.1192 0.7500
Ni1 0.4668 0.2792 0.1997
Ni2 0.7208 0.5332 0.3003
Ni3 0.5332 0.7208 0.8003
Ni4 0.2792 0.4668 0.6997
B1 0.1554 0.5033 0.0223
B2 0.4967 0.8446 0.4777
B3 0.8446 0.4967 0.9777
B4 0.5033 0.1554 0.5223


Dy3Ni19B10: relaxed, PBE.

## Properties
**Total moment**: 0.00 μB/cell
**Formation energy from the elements**: -0.432 eV/atom

a = 7.8640 Å, b = 7.8640 Å, c = 5.7557 Å
α = 88.90°, β = 88.90°, γ = 67.14°
Fractional positions:
Dy1 0.0000 0.0000 0.0000
Dy2 0.6254 0.6254 0.6144
Dy3 0.3746 0.3746 0.3856
Ni1 0.0000 0.0000 0.5000
Ni2 0.6221 0.6221 0.1270
Ni3 0.3779 0.3779 0.8730
Ni4 0.1629 0.1629 0.2968
Ni5 0.8371 0.8371 0.7032
Ni6 0.1821 0.1821 0.7288
Ni7 0.8179 0.8179 0.2712
Ni8 0.4826 0.9549 0.3021
Ni9 0.9549 0.4826 0.3021
Ni10 0.5174 0.0451 0.6979
Ni11 0.0451 0.5174 0.6979
Ni12 0.1221 0.6228 0.0738
Ni13 0.6228 0.1221 0.0738
Ni14 0.8779 0.3772 0.9262
Ni15 0.3772 0.8779 0.9262
Ni16 0.7707 0.2889 0.3012
Ni17 0.2889 0.7707 0.3012
Ni18 0.2293 0.7111 0.6988
Ni19 0.7111 0.2293 0.6988
B1 0.3836 0.6164 0.0000
B2 0.6164 0.3836 0.0000
B3 0.6509 0.8572 0.9744
B4 0.8572 0.6509 0.9744
B5 0.3491 0.1428 0.0256
B6 0.1428 0.3491 0.0256
B7 0.9352 0.3006 0.5692
B8 0.3006 0.9352 0.5692
B9 0.0648 0.6994 0.4308
B10 0.6994 0.0648 0.4308


DyNi12B6: relaxed, PBE.

## Properties
**Formation energy from the elements**: -0.393 eV/atom

a = 6.0384 Å, b = 6.0384 Å, c = 10.9463 Å
α = 90.00°, β = 90.00°, γ = 104.88°
Fractional positions:
Dy1 0.8367 0.8367 0.4971
Dy2 0.1633 0.1633 0.9971
Ni1 0.5628 0.5628 0.9206
Ni2 0.4372 0.4372 0.4206
Ni3 0.7801 0.7801 0.0998
Ni4 0.2199 0.2199 0.5998
Ni5 0.5435 0.8040 0.7337
Ni6 0.8040 0.5435 0.7337
Ni7 0.4565 0.1960 0.2337
Ni8 0.1960 0.4565 0.2337
Ni9 0.1465 0.8820 0.7560
Ni10 0.8820 0.1465 0.7560
Ni11 0.8535 0.1180 0.2560
Ni12 0.1180 0.8535 0.2560
Ni13 0.6609 0.2703 0.5681
Ni14 0.2703 0.6609 0.5681
Ni15 0.3391 0.7297 0.0681
Ni16 0.7297 0.3391 0.0681
Ni17 0.6293 0.9933 0.9373
Ni18 0.9933 0.6293 0.9373
Ni19 0.3707 0.0067 0.4373
Ni20 0.0067 0.3707 0.4373
Ni21 0.4734 0.2134 0.7762
Ni22 0.2134 0.4734 0.7762
Ni23 0.5266 0.7866 0.2762
Ni24 0.7866 0.5266 0.2762
B1 0.8361 0.8361 0.8375
B2 0.1639 0.1639 0.3375
B3 0.4927 0.4927 0.6484
B4 0.5073 0.5073 0.1484
B5 0.3250 0.7544 0.8847
B6 0.7544 0.3250 0.8847
B7 0.6750 0.2456 0.3847
B8 0.2456 0.6750 0.3847
B9 0.4013 0.9905 0.6237
B10 0.9905 0.4013 0.6237
B11 0.5987 0.0095 0.1237
B12 0.0095 0.5987 0.1237


Dy2B3O8: relaxed, PBE.

## Properties
**Total moment**: 4.00 μB/cell
**Formation energy from the elements**: -3.218 eV/atom

a = 4.3865 Å, b = 8.9427 Å, c = 12.9367 Å
α = 90.00°, β = 90.00°, γ = 90.00°
Fractional positions:
Dy1 0.9493 0.0387 0.1392
Dy2 0.5507 0.5387 0.3608
Dy3 0.5507 0.9613 0.6392
Dy4 0.9493 0.4613 0.8608
Dy5 0.0507 0.9613 0.8608
Dy6 0.4493 0.4613 0.6392
Dy7 0.4493 0.0387 0.3608
Dy8 0.0507 0.5387 0.1392
B1 0.5648 0.7500 0.0000
B2 0.9352 0.2500 0.5000
B3 0.4352 0.2500 0.0000
B4 0.0648 0.7500 0.5000
B5 0.9781 0.8028 0.3070
B6 0.5219 0.3028 0.1930
B7 0.5219 0.1972 0.8070
B8 0.9781 0.6972 0.6930
B9 0.0219 0.1972 0.6930
B10 0.4781 0.6972 0.8070
B11 0.4781 0.8028 0.1930
B12 0.0219 0.3028 0.3070
O1 0.9626 0.9646 0.3115
O2 0.5374 0.4646 0.1885
O3 0.5374 0.0354 0.8115
O4 0.9626 0.5354 0.6885
O5 0.0374 0.0354 0.6885
O6 0.4626 0.5354 0.8115
O7 0.4626 0.9646 0.1885
O8 0.0374 0.4646 0.3115
O9 0.7928 0.7461 0.2167
O10 0.7072 0.2461 0.2833
O11 0.7072 0.2539 0.7167
O12 0.7928 0.7539 0.7833
O13 0.2072 0.2539 0.7833
O14 0.2928 0.7539 0.7167
O15 0.2928 0.7461 0.2833
O16 0.2072 0.2461 0.2167
O17 0.3664 0.7603 0.9064
O18 0.1336 0.2603 0.5936
O19 0.1336 0.2397 0.4064
O20 0.3664 0.7397 0.0936
O21 0.6336 0.2397 0.0936
O22 0.8664 0.7397 0.4064
O23 0.8664 0.7603 0.5936
O24 0.6336 0.2603 0.9064
O25 0.7792 0.6225 0.9953
O26 0.7208 0.1225 0.5047
O27 0.7208 0.3775 0.4953
O28 0.7792 0.8775 0.0047
O29 0.2208 0.3775 0.0047
O30 0.2792 0.8775 0.4953
O31 0.2792 0.6225 0.5047
O32 0.2208 0.1225 0.9953


Dy5B3O13: relaxed, PBE.

## Properties
**Total moment**: 3.99 μB/cell
**Formation energy from the elements**: -3.443 eV/atom

a = 8.9549 Å, b = 8.9549 Å, c = 6.7496 Å
α = 90.00°, β = 90.00°, γ = 120.00°
Fractional positions:
Dy1 0.3333 0.6667 0.5016
Dy2 0.6667 0.3333 0.4984
Dy3 0.6667 0.3333 0.0016
Dy4 0.3333 0.6667 0.9984
Dy5 0.2509 0.2399 0.7500
Dy6 0.7491 0.7601 0.2500
Dy7 0.7601 0.0111 0.7500
Dy8 0.2399 0.9889 0.2500
Dy9 0.9889 0.7491 0.7500
Dy10 0.0111 0.2509 0.2500
B1 0.0304 0.3996 0.7500
B2 0.9696 0.6004 0.2500
B3 0.6004 0.6308 0.7500
B4 0.3996 0.3692 0.2500
B5 0.3692 0.9696 0.7500
B6 0.6308 0.0304 0.2500
O1 0.0901 0.3463 0.5712
O2 0.9099 0.6537 0.4288
O3 0.6537 0.7438 0.5712
O4 0.9099 0.6537 0.0712
O5 0.3463 0.2562 0.4288
O6 0.0901 0.3463 0.9288
O7 0.2562 0.9099 0.5712
O8 0.3463 0.2562 0.0712
O9 0.7438 0.0901 0.4288
O10 0.6537 0.7438 0.9288
O11 0.7438 0.0901 0.0712
O12 0.2562 0.9099 0.9288
O13 0.4822 0.1571 0.7500
O14 0.5178 0.8429 0.2500
O15 0.8429 0.3250 0.7500
O16 0.1571 0.6750 0.2500
O17 0.6750 0.5178 0.7500
O18 0.3250 0.4822 0.2500
O19 0.0000 0.0000 0.7500
O20 0.0000 0.0000 0.2500
O21 0.1254 0.5906 0.7500
O22 0.8746 0.4094 0.2500
O23 0.4094 0.5349 0.7500
O24 0.5906 0.4651 0.2500
O25 0.4651 0.8746 0.7500
O26 0.5349 0.1254 0.2500